No. 1
{
  "formula": "Pm2NiRh",
  "functional": "GGA-PBE",
  "state": "optimized geometry",
  "spacegroup": "Fm-3m (225)",
  "final_energy_ev_per_atom": -6.144,
  "cell": [[0.000, 3.490, 3.490], [3.490, 0.000, 3.490], [3.490, 3.490, 0.000]],
  "species": ["Pm", "Pm", "Ni", "Rh"],
  "fractional_positions": [[0.250, 0.250, 0.250], [0.750, 0.750, 0.750], [0.000, 0.000, 0.000], [0.500, 0.500, 0.500]]
}

No. 2
{
  "formula": "Cs2Li3F5",
  "functional": "GGA-PBE",
  "state": "optimized geometry",
  "spacegroup": "Amm2 (38)",
  "energy_corrected_mp2020_ev_per_atom": -4.66,
  "final_energy_ev_per_atom": -4.426,
  "piezo_max_c_m2": 0.1,
  "m_tot_mub_per_cell": 0.0,
  "cell": [[4.050, 0.000, 0.000], [0.000, 2.067, 10.206], [0.000, -2.067, 10.206]],
  "species": ["Cs", "Cs", "Li", "Li", "Li", "F", "F", "F", "F", "F"],
  "fractional_positions": [[0.000, 0.000, 0.000], [0.500, 0.350, 0.350], [0.000, 0.155, 0.155], [0.000, 0.746, 0.746], [0.500, 0.609, 0.609], [0.000, 0.245, 0.245], [0.000, 0.647, 0.647], [0.000, 0.842, 0.842], [0.500, 0.122, 0.122], [0.500, 0.512, 0.512]]
}

No. 3
{
  "formula": "Cs2YCl5",
  "functional": "GGA-PBE",
  "state": "optimized geometry",
  "spacegroup": "Pnma (62)",
  "energy_corrected_mp2020_ev_per_atom": -4.76,
  "final_energy_ev_per_atom": -4.378,
  "cell": [[9.822, 0.000, 0.000], [0.000, 7.605, 0.000], [0.000, 0.000, 15.568]],
  "species": ["Cs", "Cs", "Cs", "Cs", "Cs", "Cs", "Cs", "Cs", "Y", "Y", "Y", "Y", "Cl", "Cl", "Cl", "Cl", "Cl", "Cl", "Cl", "Cl", "Cl", "Cl", "Cl", "Cl", "Cl", "Cl", "Cl", "Cl", "Cl", "Cl", "Cl", "Cl"],
  "fractional_positions": [[0.024, 0.250, 0.212], [0.164, 0.750, 0.417], [0.336, 0.250, 0.917], [0.476, 0.750, 0.712], [0.524, 0.250, 0.288], [0.664, 0.750, 0.083], [0.836, 0.250, 0.583], [0.976, 0.750, 0.788], [0.176, 0.750, 0.065], [0.324, 0.250, 0.565], [0.676, 0.750, 0.435], [0.824, 0.250, 0.935], [0.000, 0.000, 0.000], [0.000, 0.500, 0.000], [0.021, 0.750, 0.200], [0.169, 0.501, 0.617], [0.169, 0.999, 0.617], [0.214, 0.250, 0.409], [0.286, 0.750, 0.909], [0.331, 0.001, 0.117], [0.331, 0.499, 0.117], [0.479, 0.250, 0.700], [0.500, 0.000, 0.500], [0.500, 0.500, 0.500], [0.521, 0.750, 0.300], [0.669, 0.501, 0.883], [0.669, 0.999, 0.883], [0.714, 0.250, 0.091], [0.786, 0.750, 0.591], [0.831, 0.001, 0.383], [0.831, 0.499, 0.383], [0.979, 0.250, 0.800]]
}

No. 4
{
  "formula": "LaCu2Sn2",
  "functional": "GGA-PBE",
  "state": "optimized geometry",
  "spacegroup": "P4/nmm (129)",
  "final_energy_ev_per_atom": -4.696,
  "cell": [[4.541, 0.000, 0.000], [0.000, 4.541, 0.000], [0.000, 0.000, 10.559]],
  "species": ["La", "La", "Cu", "Cu", "Cu", "Cu", "Sn", "Sn", "Sn", "Sn"],
  "fractional_positions": [[0.250, 0.250, 0.239], [0.750, 0.750, 0.761], [0.250, 0.250, 0.633], [0.250, 0.750, 0.000], [0.750, 0.250, 0.000], [0.750, 0.750, 0.367], [0.250, 0.250, 0.875], [0.250, 0.750, 0.500], [0.750, 0.250, 0.500], [0.750, 0.750, 0.125]]
}

No. 5
{
  "formula": "PuH8S2O12",
  "functional": "GGA-PBE",
  "state": "optimized geometry",
  "spacegroup": "Pnma (62)",
  "energy_corrected_mp2020_ev_per_atom": -6.51,
  "final_energy_ev_per_atom": -6.151,
  "m_tot_mub_per_cell": 16.0,
  "cell": [[14.669, 0.000, 0.000], [0.000, 11.143, 0.000], [0.000, 0.000, 5.769]],
  "species": ["Pu", "Pu", "Pu", "Pu", "H", "H", "H", "H", "H", "H", "H", "H", "H", "H", "H", "H", "H", "H", "H", "H", "H", "H", "H", "H", "H", "H", "H", "H", "H", "H", "H", "H", "H", "H", "H", "H", "S", "S", "S", "S", "S", "S", "S", "S", "O", "O", "O", "O", "O", "O", "O", "O", "O", "O", "O", "O", "O", "O", "O", "O", "O", "O", "O", "O", "O", "O", "O", "O", "O", "O", "O", "O", "O", "O", "O", "O", "O", "O", "O", "O", "O", "O", "O", "O", "O", "O", "O", "O", "O", "O", "O", "O"],
  "fractional_positions": [[0.171, 0.250, 0.126], [0.329, 0.750, 0.626], [0.671, 0.250, 0.374], [0.829, 0.750, 0.874], [0.008, 0.126, 0.874], [0.008, 0.374, 0.874], [0.013, 0.679, 0.650], [0.013, 0.821, 0.650], [0.096, 0.056, 0.802], [0.096, 0.444, 0.802], [0.173, 0.680, 0.958], [0.173, 0.820, 0.958], [0.327, 0.180, 0.458], [0.327, 0.320, 0.458], [0.404, 0.556, 0.302], [0.404, 0.944, 0.302], [0.487, 0.179, 0.150], [0.487, 0.321, 0.150], [0.492, 0.626, 0.374], [0.492, 0.874, 0.374], [0.508, 0.126, 0.626], [0.508, 0.374, 0.626], [0.513, 0.679, 0.850], [0.513, 0.821, 0.850], [0.596, 0.056, 0.698], [0.596, 0.444, 0.698], [0.673, 0.680, 0.542], [0.673, 0.820, 0.542], [0.827, 0.180, 0.042], [0.827, 0.320, 0.042], [0.904, 0.556, 0.198], [0.904, 0.944, 0.198], [0.987, 0.179, 0.350], [0.987, 0.321, 0.350], [0.992, 0.626, 0.126], [0.992, 0.874, 0.126], [0.150, 0.554, 0.383], [0.150, 0.946, 0.383], [0.350, 0.054, 0.883], [0.350, 0.446, 0.883], [0.650, 0.554, 0.117], [0.650, 0.946, 0.117], [0.850, 0.054, 0.617], [0.850, 0.446, 0.617], [0.026, 0.250, 0.316], [0.075, 0.125, 0.895], [0.075, 0.375, 0.895], [0.093, 0.567, 0.592], [0.093, 0.933, 0.592], [0.106, 0.604, 0.173], [0.106, 0.896, 0.173], [0.169, 0.077, 0.351], [0.169, 0.423, 0.351], [0.197, 0.750, 0.872], [0.240, 0.617, 0.413], [0.240, 0.883, 0.413], [0.260, 0.117, 0.913], [0.260, 0.383, 0.913], [0.303, 0.250, 0.372], [0.331, 0.577, 0.851], [0.331, 0.923, 0.851], [0.394, 0.104, 0.673], [0.394, 0.396, 0.673], [0.407, 0.067, 0.092], [0.407, 0.433, 0.092], [0.425, 0.625, 0.395], [0.425, 0.875, 0.395], [0.474, 0.750, 0.816], [0.526, 0.250, 0.184], [0.575, 0.125, 0.605], [0.575, 0.375, 0.605], [0.593, 0.567, 0.908], [0.593, 0.933, 0.908], [0.606, 0.604, 0.327], [0.606, 0.896, 0.327], [0.669, 0.077, 0.149], [0.669, 0.423, 0.149], [0.697, 0.750, 0.628], [0.740, 0.617, 0.087], [0.740, 0.883, 0.087], [0.760, 0.117, 0.587], [0.760, 0.383, 0.587], [0.803, 0.250, 0.128], [0.831, 0.577, 0.649], [0.831, 0.923, 0.649], [0.894, 0.104, 0.827], [0.894, 0.396, 0.827], [0.907, 0.067, 0.408], [0.907, 0.433, 0.408], [0.925, 0.625, 0.105], [0.925, 0.875, 0.105], [0.974, 0.750, 0.684]]
}

No. 6
{
  "formula": "CaH16O10",
  "functional": "GGA-PBE",
  "state": "optimized geometry",
  "spacegroup": "Pc (7)",
  "e_above_lowest_polymorph_ev_per_atom": 0.000,
  "energy_corrected_mp2020_ev_per_atom": -5.31,
  "final_energy_ev_per_atom": -5.058,
  "m_tot_mub_per_cell": 0.0,
  "cell": [[6.209, 0.000, 0.000], [0.000, 6.213, 0.000], [-0.010, 0.000, 10.947]],
  "species": ["Ca", "Ca", "H", "H", "H", "H", "H", "H", "H", "H", "H", "H", "H", "H", "H", "H", "H", "H", "H", "H", "H", "H", "H", "H", "H", "H", "H", "H", "H", "H", "H", "H", "H", "H", "O", "O", "O", "O", "O", "O", "O", "O", "O", "O", "O", "O", "O", "O", "O", "O", "O", "O", "O", "O"],
  "fractional_positions": [[0.000, 0.003, 0.000], [0.000, 0.997, 0.500], [0.034, 0.446, 0.880], [0.034, 0.554, 0.380], [0.134, 0.301, 0.713], [0.134, 0.699, 0.213], [0.277, 0.384, 0.602], [0.277, 0.616, 0.102], [0.278, 0.380, 0.896], [0.278, 0.620, 0.396], [0.305, 0.134, 0.289], [0.305, 0.866, 0.789], [0.380, 0.263, 0.408], [0.380, 0.737, 0.908], [0.382, 0.277, 0.103], [0.382, 0.723, 0.603], [0.445, 0.031, 0.119], [0.445, 0.969, 0.619], [0.559, 0.033, 0.881], [0.559, 0.967, 0.381], [0.621, 0.275, 0.601], [0.621, 0.725, 0.101], [0.624, 0.279, 0.896], [0.624, 0.721, 0.396], [0.701, 0.130, 0.713], [0.701, 0.870, 0.213], [0.727, 0.379, 0.102], [0.727, 0.621, 0.602], [0.728, 0.382, 0.397], [0.728, 0.618, 0.897], [0.871, 0.301, 0.285], [0.871, 0.699, 0.785], [0.972, 0.445, 0.117], [0.972, 0.555, 0.617], [0.130, 0.318, 0.874], [0.130, 0.682, 0.374], [0.131, 0.319, 0.622], [0.131, 0.681, 0.122], [0.319, 0.118, 0.381], [0.319, 0.131, 0.127], [0.319, 0.869, 0.627], [0.319, 0.882, 0.881], [0.502, 0.498, 0.432], [0.502, 0.502, 0.932], [0.504, 0.498, 0.069], [0.504, 0.502, 0.569], [0.683, 0.127, 0.622], [0.683, 0.873, 0.122], [0.686, 0.132, 0.874], [0.686, 0.868, 0.374], [0.874, 0.318, 0.375], [0.874, 0.682, 0.875], [0.875, 0.317, 0.123], [0.875, 0.683, 0.623]]
}

Number 1: ΔH_f (0 K) -483 meV/atom. Number 2: ΔH_f (0 K) -2948 meV/atom. Number 3: ΔH_f (0 K) -2574 meV/atom. Number 4: ΔH_f (0 K) -466 meV/atom. Number 5: ΔH_f (0 K) -1768 meV/atom. Number 6: ΔH_f (0 K) -1395 meV/atom.